{
  "formula": "Ca3V2O7",
  "functional": "GGA+U",
  "state": "optimized geometry",
  "sg": "Cmc2_1, No. 36",
  "e_form_mev_per_atom": -2995,
  "e_ij_max_c_m2": 1.40,
  "energy_ev_per_atom": -7.212,
  "volume_a3_per_cell": 289,
  "lattice_angstrom": [[2.7333, -9.5673, 0.0000], [2.7333, 9.5673, 0.0000], [0.0000, 0.0000, 5.5284]],
  "species": ["O", "O", "O", "O", "O", "O", "O", "O", "O", "O", "O", "O", "O", "O", "Ca", "Ca", "Ca", "Ca", "Ca", "Ca", "V", "V", "V", "V"],
  "fractional_positions": [[0.6795, 0.6795, 0.2361], [0.3490, 0.5709, 0.4603], [0.5709, 0.3490, 0.4603], [0.4291, 0.6510, 0.9603], [0.0456, 0.8765, 0.5397], [0.0097, 0.6160, 0.2663], [0.9903, 0.3840, 0.7663], [0.9544, 0.1235, 0.0397], [0.6160, 0.0097, 0.2663], [0.3205, 0.3205, 0.7361], [0.1235, 0.9544, 0.0397], [0.3840, 0.9903, 0.7663], [0.8765, 0.0456, 0.5397], [0.6510, 0.4291, 0.9603], [0.9441, 0.5746, 0.7128], [0.5746, 0.9441, 0.7128], [0.0559, 0.4254, 0.2128], [0.2422, 0.2422, 0.2897], [0.4254, 0.0559, 0.2128], [0.7578, 0.7578, 0.7897], [0.1513, 0.3506, 0.7481], [0.3506, 0.1513, 0.7481], [0.8487, 0.6494, 0.2481], [0.6494, 0.8487, 0.2481]]
}

=====

{
  "formula": "Ca3V3As4O16",
  "functional": "GGA+U",
  "state": "optimized geometry",
  "sg": "P2_1/c, No. 14",
  "e_form_mev_per_atom": -2306,
  "energy_ev_per_atom": -6.728,
  "volume_a3_per_cell": 763,
  "lattice_angstrom": [[5.2949, 0.0000, 0.0000], [0.0000, 9.1168, 0.0000], [0.0000, 7.3049, 15.8003]],
  "species": ["O", "O", "O", "O", "O", "O", "O", "O", "O", "O", "O", "O", "O", "O", "O", "O", "O", "O", "O", "O", "O", "O", "O", "O", "O", "O", "O", "O", "O", "O", "O", "O", "V", "V", "V", "V", "V", "V", "As", "As", "As", "As", "As", "As", "As", "As", "Ca", "Ca", "Ca", "Ca", "Ca", "Ca"],
  "fractional_positions": [[0.2688, 0.5865, 0.4056], [0.7406, 0.5405, 0.8969], [0.3554, 0.9076, 0.0869], [0.7312, 0.4135, 0.5944], [0.2594, 0.4595, 0.1031], [0.0629, 0.2651, 0.9891], [0.3477, 0.0182, 0.3630], [0.9149, 0.8639, 0.3431], [0.4689, 0.8037, 0.2547], [0.8477, 0.9818, 0.1370], [0.2406, 0.4595, 0.6031], [0.5851, 0.8639, 0.8431], [0.9371, 0.7349, 0.0109], [0.6004, 0.5774, 0.6903], [0.6446, 0.0924, 0.9131], [0.9689, 0.1963, 0.2453], [0.8554, 0.0924, 0.4131], [0.4371, 0.2651, 0.4891], [0.5629, 0.7349, 0.5109], [0.2312, 0.5865, 0.9056], [0.3996, 0.4226, 0.3097], [0.1446, 0.9076, 0.5869], [0.1004, 0.4226, 0.8097], [0.1523, 0.0182, 0.8630], [0.4149, 0.1361, 0.1569], [0.7688, 0.4135, 0.0944], [0.5311, 0.1963, 0.7453], [0.0851, 0.1361, 0.6569], [0.6523, 0.9818, 0.6370], [0.8996, 0.5774, 0.1903], [0.7594, 0.5405, 0.3969], [0.0311, 0.8037, 0.7547], [0.0411, 0.2167, 0.1217], [0.5000, 0.5000, 0.0000], [0.0000, 0.5000, 0.5000], [0.4589, 0.2167, 0.6217], [0.9589, 0.7833, 0.8783], [0.5411, 0.7833, 0.3783], [0.5221, 0.9583, 0.1553], [0.9745, 0.5601, 0.1006], [0.5255, 0.5601, 0.6006], [0.0221, 0.0417, 0.3447], [0.0255, 0.4399, 0.8994], [0.4745, 0.4399, 0.3994], [0.9779, 0.9583, 0.6553], [0.4779, 0.0417, 0.8447], [0.0000, 0.0000, 0.0000], [0.9601, 0.2911, 0.7322], [0.4601, 0.7089, 0.7678], [0.5000, 0.0000, 0.5000], [0.5399, 0.2911, 0.2322], [0.0399, 0.7089, 0.2678]]
}

=====

{
  "formula": "KV3Cu5O13",
  "functional": "GGA+U",
  "state": "optimized geometry",
  "sg": "P-1, No. 2",
  "e_form_mev_per_atom": -1676,
  "energy_ev_per_atom": -6.183,
  "volume_a3_per_cell": 551,
  "lattice_angstrom": [[6.1516, 0.0000, 0.0000], [-0.0856, 8.3056, 0.0000], [-0.5228, -1.5057, 10.7851]],
  "species": ["O", "O", "O", "O", "O", "O", "O", "O", "O", "O", "O", "O", "O", "O", "O", "O", "O", "O", "O", "O", "O", "O", "O", "O", "O", "O", "V", "V", "V", "V", "V", "V", "K", "K", "Cu", "Cu", "Cu", "Cu", "Cu", "Cu", "Cu", "Cu", "Cu", "Cu"],
  "fractional_positions": [[0.9790, 0.8814, 0.8104], [0.7633, 0.6173, 0.8786], [0.2560, 0.9627, 0.3814], [0.0199, 0.3435, 0.7778], [0.2513, 0.5769, 0.6631], [0.7673, 0.1563, 0.8836], [0.2327, 0.8437, 0.1164], [0.7275, 0.9120, 0.0319], [0.2725, 0.0880, 0.9681], [0.2433, 0.0515, 0.6567], [0.5189, 0.6557, 0.2209], [0.5136, 0.1321, 0.2036], [0.7440, 0.0373, 0.6186], [0.7487, 0.4231, 0.3369], [0.4811, 0.3443, 0.7791], [0.5451, 0.7499, 0.5192], [0.9801, 0.6565, 0.2222], [0.0029, 0.2308, 0.4673], [0.0210, 0.1186, 0.1896], [0.4549, 0.2501, 0.4808], [0.9971, 0.7692, 0.5327], [0.2367, 0.3827, 0.1214], [0.7289, 0.3826, 0.0753], [0.7567, 0.9485, 0.3433], [0.2711, 0.6174, 0.9247], [0.4864, 0.8679, 0.7964], [0.7408, 0.8205, 0.8782], [0.2592, 0.1795, 0.1218], [0.7432, 0.5281, 0.2118], [0.7599, 0.8748, 0.5056], [0.2401, 0.1252, 0.4944], [0.2568, 0.4719, 0.7882], [0.2477, 0.5209, 0.4015], [0.7523, 0.4791, 0.5985], [0.5085, 0.1064, 0.7674], [0.9993, 0.8948, 0.2287], [0.0007, 0.1052, 0.7713], [0.4915, 0.8936, 0.2326], [0.7324, 0.1455, 0.0612], [0.2574, 0.8079, 0.6453], [0.2676, 0.8545, 0.9388], [0.7426, 0.1921, 0.3547], [0.2254, 0.6049, 0.1041], [0.7746, 0.3951, 0.8959]]
}

=====

{
  "formula": "Mg2Co3O8",
  "functional": "GGA+U",
  "state": "optimized geometry",
  "sg": "C2/m, No. 12",
  "e_form_mev_per_atom": -1713,
  "energy_ev_per_atom": -5.844,
  "volume_a3_per_cell": 129,
  "lattice_angstrom": [[2.8288, 5.0392, 0.0000], [-2.8288, 5.0392, 0.0000], [0.0000, 1.6488, 4.5076]],
  "species": ["O", "O", "O", "O", "O", "O", "O", "O", "Mg", "Mg", "Co", "Co", "Co"],
  "fractional_positions": [[0.3371, 0.8869, 0.5968], [0.1050, 0.1050, 0.0838], [0.8950, 0.8950, 0.9162], [0.3965, 0.3965, 0.9311], [0.1131, 0.6629, 0.4032], [0.6629, 0.1131, 0.4032], [0.8869, 0.3371, 0.5968], [0.6035, 0.6035, 0.0689], [0.7254, 0.7254, 0.3427], [0.2746, 0.2746, 0.6573], [0.2584, 0.7416, 0.0000], [0.7416, 0.2584, 0.0000], [0.0000, 0.0000, 0.5000]]
}

=====

{
  "formula": "NaSrSmFeO6",
  "functional": "GGA+U",
  "state": "optimized geometry",
  "sg": "F-43m, No. 216",
  "e_form_mev_per_atom": -2198,
  "energy_ev_per_atom": -6.149,
  "volume_a3_per_cell": 139,
  "lattice_angstrom": [[0.0000, -4.1127, -4.1127], [4.1127, 0.0000, -4.1127], [4.1127, -4.1127, 0.0000]],
  "species": ["O", "O", "O", "O", "O", "O", "Na", "Sr", "Fe", "Sm"],
  "fractional_positions": [[0.7738, 0.2262, 0.2262], [0.2262, 0.2262, 0.7738], [0.2262, 0.7738, 0.2262], [0.2262, 0.7738, 0.7738], [0.7738, 0.7738, 0.2262], [0.7738, 0.2262, 0.7738], [0.2500, 0.2500, 0.2500], [0.7500, 0.7500, 0.7500], [0.0000, 0.0000, 0.0000], [0.5000, 0.5000, 0.5000]]
}

=====

{
  "formula": "Li2U3V2O15",
  "functional": "GGA+U",
  "state": "optimized geometry",
  "sg": "I4_1/amd, No. 141",
  "e_form_mev_per_atom": -3075,
  "energy_ev_per_atom": -8.365,
  "volume_a3_per_cell": 693,
  "lattice_angstrom": [[11.5404, -2.7020, 6.5750], [11.8094, 6.4935, 1.4436], [-13.5404, 0.5459, 0.2684]],
  "species": ["O", "O", "O", "O", "O", "O", "O", "O", "O", "O", "O", "O", "O", "O", "O", "O", "O", "O", "O", "O", "O", "O", "O", "O", "O", "O", "O", "O", "O", "O", "U", "U", "U", "U", "U", "U", "Li", "Li", "Li", "Li", "V", "V", "V", "V"],
  "fractional_positions": [[0.5496, 0.7434, 0.8063], [0.4002, 0.0777, 0.3224], [0.8129, 0.5066, 0.3063], [0.0826, 0.3368, 0.7457], [0.8277, 0.0053, 0.1776], [0.4934, 0.7996, 0.3063], [0.3498, 0.1723, 0.1776], [0.3236, 0.8236, 0.5000], [0.6632, 0.9174, 0.2543], [0.2566, 0.0629, 0.8063], [0.0868, 0.3326, 0.2457], [0.6632, 0.4089, 0.7457], [0.0000, 0.0000, 0.0000], [0.9947, 0.1723, 0.8224], [0.5736, 0.5736, 0.0000], [0.1764, 0.6764, 0.5000], [0.9223, 0.2447, 0.3224], [0.7500, 0.2500, 0.5000], [0.5911, 0.3368, 0.2543], [0.9371, 0.7434, 0.1937], [0.8277, 0.6502, 0.8224], [0.6674, 0.9132, 0.7543], [0.2004, 0.5066, 0.6937], [0.9223, 0.5998, 0.6776], [0.4264, 0.4264, 0.0000], [0.4934, 0.1871, 0.6937], [0.1589, 0.9132, 0.2457], [0.7553, 0.0777, 0.6776], [0.0868, 0.8411, 0.7543], [0.2566, 0.4504, 0.1937], [0.0850, 0.0850, 0.0000], [0.9150, 0.9150, 0.0000], [0.2500, 0.7500, 0.5000], [0.8350, 0.3350, 0.5000], [0.6650, 0.1650, 0.5000], [0.5000, 0.5000, 0.0000], [0.4056, 0.9056, 0.5000], [0.3444, 0.3444, 0.0000], [0.6556, 0.6556, 0.0000], [0.0944, 0.5944, 0.5000], [0.5323, 0.0323, 0.5000], [0.2177, 0.2177, 0.0000], [0.9677, 0.4677, 0.5000], [0.7823, 0.7823, 0.0000]]
}

=====

{
  "formula": "CsFeF4",
  "functional": "GGA+U",
  "state": "optimized geometry",
  "sg": "P4/nmm, No. 129",
  "e_form_mev_per_atom": -2823,
  "energy_ev_per_atom": -4.976,
  "volume_a3_per_cell": 420,
  "lattice_angstrom": [[7.9392, 0.0000, 0.0000], [0.0000, 7.9392, 0.0000], [0.0000, 0.0000, 6.6562]],
  "species": ["F", "F", "F", "F", "F", "F", "F", "F", "F", "F", "F", "F", "F", "F", "F", "F", "Fe", "Fe", "Fe", "Fe", "Cs", "Cs", "Cs", "Cs"],
  "fractional_positions": [[0.7790, 0.7210, 0.2813], [0.2790, 0.7790, 0.7187], [0.2473, 0.0000, 0.0468], [0.5000, 0.7473, 0.0468], [0.2790, 0.2210, 0.7187], [0.7790, 0.2790, 0.2813], [0.2210, 0.2790, 0.2813], [0.0000, 0.2473, 0.9532], [0.7473, 0.5000, 0.9532], [0.5000, 0.2527, 0.0468], [0.7210, 0.7790, 0.7187], [0.2210, 0.7210, 0.2813], [0.2527, 0.5000, 0.9532], [0.7210, 0.2210, 0.7187], [0.7527, 0.0000, 0.0468], [0.0000, 0.7527, 0.9532], [0.2500, 0.2500, 0.0000], [0.7500, 0.7500, 0.0000], [0.7500, 0.2500, 0.0000], [0.2500, 0.7500, 0.0000], [0.5000, 0.5000, 0.5000], [0.0000, 0.5000, 0.5489], [0.5000, 0.0000, 0.4511], [0.0000, 0.0000, 0.5000]]
}

=====

{
  "formula": "Cs4Fe3F10",
  "functional": "GGA+U",
  "state": "optimized geometry",
  "sg": "Cmce, No. 64",
  "e_form_mev_per_atom": -2779,
  "energy_ev_per_atom": -4.941,
  "volume_a3_per_cell": 679,
  "lattice_angstrom": [[-2.2376, 4.2959, -6.3914], [-3.6428, -1.6403, 6.9535], [5.8308, 11.6817, 5.8103]],
  "species": ["Cs", "Cs", "Cs", "Cs", "Cs", "Cs", "Cs", "Cs", "F", "F", "F", "F", "F", "F", "F", "F", "F", "F", "F", "F", "F", "F", "F", "F", "F", "F", "F", "F", "Fe", "Fe", "Fe", "Fe", "Fe", "Fe"],
  "fractional_positions": [[0.9573, 0.0427, 0.3615], [0.7543, 0.2457, 0.1091], [0.2543, 0.7457, 0.3909], [0.4573, 0.5427, 0.1385], [0.2457, 0.7543, 0.8909], [0.5427, 0.4573, 0.8615], [0.0427, 0.9573, 0.6385], [0.7457, 0.2543, 0.6091], [0.8815, 0.6836, 0.0340], [0.8658, 0.6342, 0.2500], [0.4767, 0.5233, 0.3526], [0.7558, 0.2442, 0.3569], [0.3815, 0.1836, 0.4660], [0.9767, 0.0233, 0.1474], [0.1185, 0.3164, 0.9660], [0.2558, 0.7442, 0.1431], [0.5233, 0.4767, 0.6474], [0.3164, 0.1185, 0.0340], [0.1342, 0.3658, 0.7500], [0.2442, 0.7558, 0.6431], [0.3658, 0.1342, 0.2500], [0.1836, 0.3815, 0.5340], [0.6185, 0.8164, 0.5340], [0.8164, 0.6185, 0.4660], [0.6836, 0.8815, 0.9660], [0.6342, 0.8658, 0.7500], [0.7442, 0.2558, 0.8569], [0.0233, 0.9767, 0.8526], [0.8785, 0.1215, 0.8464], [0.3785, 0.6215, 0.6536], [0.1215, 0.8785, 0.1536], [0.0000, 0.0000, 0.0000], [0.6215, 0.3785, 0.3464], [0.5000, 0.5000, 0.5000]]
}

=====

{
  "formula": "LiMnFeF6",
  "functional": "GGA+U",
  "state": "optimized geometry",
  "sg": "P321, No. 150",
  "e_form_mev_per_atom": -2881,
  "energy_ev_per_atom": -5.584,
  "volume_a3_per_cell": 329,
  "lattice_angstrom": [[-2.0008, 8.3681, -2.2065], [1.2942, -2.1586, 8.5183], [4.6916, 1.0007, -0.4592]],
  "species": ["F", "F", "F", "F", "F", "F", "F", "F", "F", "F", "F", "F", "F", "F", "F", "F", "F", "F", "Mn", "Mn", "Mn", "Fe", "Fe", "Fe", "Li", "Li", "Li"],
  "fractional_positions": [[0.5796, 0.1228, 0.2706], [0.2322, 0.7781, 0.2783], [0.8772, 0.4568, 0.2706], [0.7678, 0.5459, 0.7217], [0.0990, 0.2126, 0.7752], [0.2126, 0.0990, 0.2248], [0.1228, 0.5796, 0.7294], [0.7781, 0.2322, 0.7217], [0.5459, 0.7678, 0.2783], [0.4204, 0.5432, 0.7294], [0.1136, 0.9010, 0.7752], [0.7874, 0.8864, 0.7752], [0.8864, 0.7874, 0.2248], [0.9010, 0.1136, 0.2248], [0.4541, 0.2219, 0.7217], [0.4568, 0.8772, 0.7294], [0.5432, 0.4204, 0.2706], [0.2219, 0.4541, 0.2783], [0.0000, 0.3614, 0.0000], [0.3614, 0.0000, 0.0000], [0.6386, 0.6386, 0.0000], [0.0000, 0.0000, 0.0000], [0.3333, 0.6667, 0.5020], [0.6667, 0.3333, 0.4980], [0.7025, 0.0000, 0.5000], [0.0000, 0.7025, 0.5000], [0.2975, 0.2975, 0.5000]]
}

=====

{
  "formula": "Li3Fe2Si2O8",
  "functional": "GGA+U",
  "state": "optimized geometry",
  "sg": "Pc, No. 7",
  "e_form_mev_per_atom": -2494,
  "energy_ev_per_atom": -6.700,
  "volume_a3_per_cell": 384,
  "de_polymorph_ev_per_fu": 0.43,
  "lattice_angstrom": [[5.4680, 0.0000, 0.0000], [0.0000, 8.3373, 0.0000], [0.0000, 2.0263, 8.4165]],
  "species": ["Si", "Si", "Si", "Si", "Li", "Li", "Li", "Li", "Li", "Li", "O", "O", "O", "O", "O", "O", "O", "O", "O", "O", "O", "O", "O", "O", "O", "O", "Fe", "Fe", "Fe", "Fe"],
  "fractional_positions": [[0.8337, 0.7465, 0.6680], [0.6808, 0.2434, 0.9936], [0.3192, 0.2434, 0.4936], [0.1663, 0.7465, 0.1680], [0.6724, 0.5495, 0.1458], [0.8455, 0.9629, 0.9317], [0.3257, 0.0481, 0.0989], [0.1545, 0.9629, 0.4317], [0.3276, 0.5495, 0.6458], [0.6743, 0.0481, 0.5989], [0.1746, 0.8892, 0.9976], [0.3071, 0.0552, 0.6021], [0.6970, 0.8388, 0.7921], [0.1175, 0.6955, 0.7154], [0.3181, 0.5806, 0.1457], [0.3866, 0.2941, 0.9866], [0.7828, 0.2238, 0.8188], [0.6134, 0.2941, 0.4866], [0.1603, 0.3809, 0.5611], [0.6819, 0.5806, 0.6457], [0.2172, 0.2238, 0.3188], [0.8397, 0.3809, 0.0611], [0.6929, 0.0552, 0.1021], [0.8254, 0.8892, 0.4976], [0.3030, 0.8388, 0.2921], [0.8825, 0.6955, 0.2154], [0.1759, 0.3796, 0.1222], [0.6824, 0.8571, 0.2979], [0.8241, 0.3796, 0.6222], [0.3176, 0.8571, 0.7979]]
}

=====

{
  "formula": "Ba2NdVO6",
  "functional": "GGA+U",
  "state": "optimized geometry",
  "sg": "Fm-3m, No. 225",
  "e_form_mev_per_atom": -3081,
  "energy_ev_per_atom": -7.237,
  "volume_a3_per_cell": 154,
  "lattice_angstrom": [[-2.3172, -2.4511, -4.9756], [-4.6529, 2.6239, -2.7568], [0.7841, 2.6867, -5.3198]],
  "species": ["Nd", "O", "O", "O", "O", "O", "O", "Ba", "Ba", "V"],
  "fractional_positions": [[0.0000, 0.0000, 0.0000], [0.2743, 0.7257, 0.7257], [0.7257, 0.2743, 0.7257], [0.2743, 0.2743, 0.7257], [0.7257, 0.7257, 0.2743], [0.2743, 0.7257, 0.2743], [0.7257, 0.2743, 0.2743], [0.2500, 0.2500, 0.2500], [0.7500, 0.7500, 0.7500], [0.5000, 0.5000, 0.5000]]
}

=====

{
  "formula": "VSnO4",
  "functional": "GGA+U",
  "state": "optimized geometry",
  "e_form_mev_per_atom": -2278,
  "energy_ev_per_atom": -7.018,
  "volume_a3_per_cell": 275,
  "lattice_angstrom": [[5.8572, 0.8428, 2.8853], [1.3336, 4.9742, -4.1605], [-6.1786, 1.1731, 4.6888]],
  "species": ["O", "O", "O", "O", "O", "O", "O", "O", "O", "O", "O", "O", "O", "O", "O", "O", "Sn", "Sn", "Sn", "Sn", "V", "V", "V", "V"],
  "fractional_positions": [[0.3319, 0.1228, 0.2496], [0.9997, 0.3129, 0.9995], [0.0818, 0.8727, 0.7495], [0.4177, 0.6228, 0.2496], [0.4997, 0.8128, 0.9994], [0.2498, 0.5629, 0.4995], [0.5819, 0.3728, 0.7496], [0.7497, 0.0629, 0.4994], [0.9997, 0.6844, 0.9995], [0.2498, 0.9345, 0.4995], [0.9177, 0.1228, 0.2496], [0.7497, 0.4344, 0.4994], [0.6678, 0.8728, 0.7496], [0.8319, 0.6228, 0.2496], [0.1677, 0.3728, 0.7496], [0.4997, 0.1844, 0.9994], [0.4998, 0.4988, 0.9996], [0.9998, 0.9988, 0.9995], [0.7498, 0.7489, 0.4997], [0.2498, 0.2488, 0.4996], [0.8748, 0.3738, 0.7495], [0.3748, 0.8738, 0.7495], [0.6247, 0.1238, 0.2495], [0.1248, 0.6238, 0.2495]]
}